[1]
# GGA+U FeP2WO8, relaxed
data_FeP2WO8
_cell_length_a 5.016
_cell_length_b 10.196
_cell_length_c 6.038
_cell_angle_alpha 90.02
_cell_angle_beta 90.02
_cell_angle_gamma 93.12
_space_group_name_H-M_alt 'P 1'
_space_group_IT_number 1
_space_group_name_Hall 'P 1'
loop_
_atom_site_label
_atom_site_type_symbol
_atom_site_fract_x
_atom_site_fract_y
_atom_site_fract_z
O1 O 0.729 0.838 0.547
O2 O 0.295 0.889 0.750
O3 O 0.271 0.162 0.453
O4 O 0.729 0.838 0.953
W1 W 0.559 0.781 0.250
O5 O 0.274 0.669 0.446
P1 P 0.404 0.089 0.250
W2 W 0.441 0.219 0.750
P2 P 0.886 0.404 0.750
P3 P 0.114 0.596 0.250
O6 O 0.145 0.450 0.250
O7 O 0.274 0.669 0.054
O8 O 0.820 0.629 0.250
O9 O 0.726 0.331 0.946
Fe1 Fe 0.945 0.276 0.250
O10 O 0.271 0.162 0.046
O11 O 0.705 0.111 0.250
O12 O 0.855 0.550 0.750
Fe2 Fe 0.056 0.724 0.750
O13 O 0.180 0.371 0.750
P4 P 0.596 0.911 0.750
O14 O 0.726 0.331 0.554
O15 O 0.686 0.056 0.750
O16 O 0.314 0.944 0.250
# Formation energy from the elements in eV per atom: -2.359
# Total magnetization in μB/cell: 0.0

[2]
# GGA+U ZnFeP2O8, relaxed
data_ZnFeP2O8
_cell_length_a 5.961
_cell_length_b 4.921
_cell_length_c 10.009
_cell_angle_alpha 89.51
_cell_angle_beta 90.00
_cell_angle_gamma 90.00
_space_group_name_H-M_alt 'P 1'
_space_group_IT_number 1
_space_group_name_Hall 'P 1'
loop_
_atom_site_label
_atom_site_type_symbol
_atom_site_fract_x
_atom_site_fract_y
_atom_site_fract_z
O1 O 0.250 0.782 0.376
P1 P 0.750 0.913 0.598
O2 O 0.948 0.759 0.672
P2 P 0.750 0.579 0.097
O3 O 0.052 0.241 0.328
O4 O 0.250 0.146 0.551
O5 O 0.552 0.759 0.672
O6 O 0.545 0.714 0.169
O7 O 0.250 0.732 0.891
P3 P 0.250 0.421 0.903
O8 O 0.955 0.714 0.169
Fe1 Fe 0.250 0.534 0.224
O9 O 0.750 0.268 0.109
O10 O 0.045 0.286 0.831
O11 O 0.448 0.241 0.328
P4 P 0.250 0.087 0.402
Zn1 Zn 0.250 0.947 0.723
O12 O 0.750 0.854 0.449
O13 O 0.455 0.286 0.831
Fe2 Fe 0.750 0.466 0.776
O14 O 0.750 0.657 0.947
O15 O 0.750 0.218 0.624
O16 O 0.250 0.343 0.053
Zn2 Zn 0.750 0.053 0.277
# Formation energy from the elements in eV per atom: -2.203
# Total magnetization in μB/cell: 8.0

[3]
# GGA+U ZnFePO5, relaxed
data_ZnFePO5
_cell_length_a 5.469
_cell_length_b 5.487
_cell_length_c 7.209
_cell_angle_alpha 107.90
_cell_angle_beta 107.88
_cell_angle_gamma 95.32
_space_group_name_H-M_alt 'P 1'
_space_group_IT_number 1
_space_group_name_Hall 'P 1'
loop_
_atom_site_label
_atom_site_type_symbol
_atom_site_fract_x
_atom_site_fract_y
_atom_site_fract_z
O1 O 0.799 0.785 0.604
O2 O 0.310 0.831 0.153
Fe1 Fe 0.003 0.497 0.013
O3 O 0.916 0.581 0.262
O4 O 0.278 0.270 0.097
Zn1 Zn 0.322 0.179 0.781
Fe2 Fe 0.007 0.494 0.513
O5 O 0.092 0.409 0.763
O6 O 0.729 0.704 0.916
O7 O 0.195 0.203 0.408
Zn2 Zn 0.705 0.829 0.292
O8 O 0.655 0.204 0.384
P1 P 0.350 0.136 0.260
O9 O 0.348 0.794 0.647
O10 O 0.706 0.154 0.878
P2 P 0.654 0.849 0.762
# Formation energy from the elements in eV per atom: -2.173
# E above lowest polymorph in meV per atom: 10.6
# Total magnetization in μB/cell: 10.0

Number 1: ρ 4.63 g/cm3. Number 2: ρ 3.52 g/cm3. Number 3: ρ 4.02 g/cm3.